Material: CaMn7O12
Method: DFT, r2SCAN
State: optimized geometry

Cell: 7.361 7.361 7.361 Å, 90.00 90.00 90.00°
Space group Im-3 (No. 204)
Inequivalent atoms, fractional coordinates:
Ca (0.000, 0.000, 0.000) (multiplicity 2)
Mn (0.000, 0.000, 0.500) (multiplicity 6)
Mn (0.250, 0.250, 0.250) (multiplicity 8)
O (0.000, 0.309, 0.179) (multiplicity 24)

Calculated values
* energy of formation: -2.29 eV/atom